[1]
! PBE ZrHg3, relaxed; values from VASP
&SYSTEM
  ibrav = 0, nat = 8, ntyp = 2
/
ATOMIC_SPECIES
Zr 91.22 Zr.upf
Hg 200.59 Hg.upf
CELL_PARAMETERS angstrom
6.454 0.000 0.000
-3.227 5.590 0.000
0.000 0.000 4.880
ATOMIC_POSITIONS crystal
Zr 0.333 0.667 0.250
Zr 0.667 0.333 0.750
Hg 0.169 0.338 0.750
Hg 0.169 0.831 0.750
Hg 0.338 0.169 0.250
Hg 0.662 0.831 0.750
Hg 0.831 0.169 0.250
Hg 0.831 0.662 0.250
! **Energy of formation**: -0.0422 eV per atom
! **Symmetry**: P6_3/mmc, No. 194

---

[2]
! PBE MgAlPd2, relaxed; values from VASP
&SYSTEM
  ibrav = 0, nat = 4, ntyp = 3
/
ATOMIC_SPECIES
Mg 24.30 Mg.upf
Al 26.98 Al.upf
Pd 106.42 Pd.upf
CELL_PARAMETERS angstrom
0.000 3.123 3.123
3.123 0.000 3.123
3.123 3.123 0.000
ATOMIC_POSITIONS crystal
Mg 0.000 0.000 0.000
Al 0.500 0.500 0.500
Pd 0.250 0.250 0.250
Pd 0.750 0.750 0.750
! **Energy of formation**: -0.8338 eV per atom
! **Symmetry**: Fm-3m, No. 225

---

[3]
! PBE Ti4CrBi2, relaxed; values from VASP
&SYSTEM
  ibrav = 0, nat = 14, ntyp = 3
/
ATOMIC_SPECIES
Ti 47.87 Ti.upf
Cr 52.00 Cr.upf
Bi 208.98 Bi.upf
CELL_PARAMETERS angstrom
-5.282 5.282 2.542
5.282 -5.282 2.542
5.282 5.282 -2.542
ATOMIC_POSITIONS crystal
Ti 0.080 0.808 0.888
Ti 0.192 0.080 0.272
Ti 0.308 0.580 0.888
Ti 0.420 0.308 0.728
Ti 0.580 0.692 0.272
Ti 0.692 0.420 0.112
Ti 0.808 0.920 0.728
Ti 0.920 0.192 0.112
Cr 0.250 0.250 0.000
Cr 0.750 0.750 0.000
Bi 0.139 0.361 0.500
Bi 0.361 0.861 0.222
Bi 0.639 0.139 0.778
Bi 0.861 0.639 0.500
! **Energy of formation**: -0.2147 eV per atom
! **Symmetry**: I4/mcm, No. 140

---

- The lowest energy of formation belongs to which entry?
  MgAlPd2

---

- Among the records above, which one has the highest energy of formation?
  ZrHg3

---

- What is the energy of formation in the first record?
  -0.0422 eV per atom